An optimized crystal structure of Sr2Ca6Mn5Fe3O24, computed with PBE+U.

Geometry as POSCAR:
```
Sr2Ca6Mn5Fe3O24
1.0
-2.3029 3.4764 -6.4555
-1.9549 -6.8137 -2.9688
-7.1004 0.7561 2.9401
Mn Ca O Sr Fe
5 6 24 2 3
direct
0.0009 0.9991 0.5000 Mn
0.4990 0.5010 0.0000 Mn
0.4992 0.5008 0.5000 Mn
0.0012 0.5012 0.5000 Mn
0.4988 0.9988 0.5000 Mn
0.2509 0.7491 0.7491 Ca
0.2509 0.7491 0.2509 Ca
0.2509 0.2509 0.7487 Ca
0.2509 0.2509 0.2513 Ca
0.7491 0.7491 0.2513 Ca
0.7491 0.7491 0.7487 Ca
0.4986 0.7500 0.5000 O
0.4958 0.5042 0.7497 O
0.7515 0.9946 0.0000 O
0.0041 0.9959 0.2525 O
0.2500 0.5014 0.5000 O
0.2495 0.9988 0.5000 O
0.0012 0.7505 0.5000 O
0.4942 0.2527 0.0000 O
0.0039 0.5038 0.2540 O
0.0054 0.2485 0.0000 O
0.4962 0.9961 0.2540 O
0.2488 0.9979 0.0000 O
0.4962 0.9961 0.7460 O
0.0021 0.7512 0.0000 O
0.0041 0.9959 0.7475 O
0.4931 0.2501 0.5000 O
0.0069 0.2495 0.5000 O
0.7505 0.9931 0.5000 O
0.4958 0.5042 0.2503 O
0.0039 0.5038 0.7460 O
0.4979 0.7477 0.0000 O
0.7499 0.5069 0.5000 O
0.2523 0.5021 0.0000 O
0.7473 0.5058 0.0000 O
0.7494 0.2506 0.2505 Sr
0.7494 0.2506 0.7495 Sr
0.0014 0.9986 0.0000 Fe
0.0014 0.5013 0.0000 Fe
0.4987 0.9986 0.0000 Fe
```

## Properties
The corrected total energy (MP2020 scheme) is -7.474 eV/atom. Its final energy is -267.362 eV/f.u. The value obtained for the energy of formation is -2.339 eV/atom.

An optimized crystal structure of Sr5Ca3Mn4Fe4O20, computed with PBE+U.

Geometry as POSCAR:
```
Sr5Ca3Mn4Fe4O20
1.0
-0.0007 -0.0156 11.1075
11.2155 0.0062 -0.0008
-5.5991 15.7946 -5.5751
O Mn Ca Sr Fe
80 16 12 20 16
direct
0.6881 0.4314 0.7599 O
0.6288 0.3757 0.5025 O
0.8747 0.6221 0.4944 O
0.6954 0.9409 0.7530 O
0.6847 0.1894 0.3610 O
0.6953 0.7046 0.8670 O
0.6248 0.1236 0.4952 O
0.8256 0.8041 0.6363 O
0.1228 0.6259 0.9927 O
0.6246 0.6234 0.4949 O
0.9352 0.4209 0.3616 O
0.8788 0.3768 0.5027 O
0.3320 0.2872 0.1350 O
0.8757 0.1222 0.4956 O
0.4375 0.9204 0.3620 O
0.8839 0.3852 0.0135 O
0.1243 0.6232 0.4939 O
0.3865 0.3831 0.0144 O
0.8874 0.8812 0.0132 O
0.9297 0.0634 0.2389 O
0.1798 0.4292 0.2398 O
0.0713 0.5824 0.6370 O
0.3774 0.8774 0.5017 O
0.6853 0.6909 0.3613 O
0.1790 0.9240 0.2479 O
0.8747 0.6196 0.9904 O
0.8792 0.8772 0.5025 O
0.1915 0.2044 0.8667 O
0.9454 0.9080 0.8668 O
0.1294 0.8762 0.5009 O
0.9378 0.9209 0.3609 O
0.1278 0.1196 0.9934 O
0.3708 0.1173 0.4906 O
0.3852 0.8842 0.0144 O
0.1925 0.4425 0.7530 O
0.4352 0.4210 0.3614 O
0.4420 0.0630 0.7524 O
0.1842 0.1944 0.3610 O
0.9388 0.5753 0.7608 O
0.8348 0.2887 0.1355 O
0.0792 0.0791 0.6377 O
0.3249 0.3027 0.6359 O
0.6361 0.8796 0.0147 O
0.5841 0.5979 0.1351 O
0.5784 0.5796 0.6374 O
0.4447 0.9154 0.8677 O
0.4295 0.0609 0.2397 O
0.4297 0.5633 0.2390 O
0.3735 0.1178 0.9934 O
0.9303 0.5632 0.2396 O
0.0812 0.5981 0.1340 O
0.1252 0.1194 0.4917 O
0.1941 0.7104 0.8680 O
0.0858 0.0932 0.1363 O
0.3774 0.6232 0.9974 O
0.6289 0.8760 0.5031 O
0.6275 0.1247 0.9972 O
0.8346 0.7876 0.1347 O
0.8249 0.3100 0.6388 O
0.1358 0.3808 0.0152 O
0.3216 0.8063 0.6374 O
0.6291 0.6203 0.9937 O
0.5738 0.0821 0.6360 O
0.5813 0.0964 0.1354 O
0.4450 0.4167 0.8674 O
0.8777 0.1217 0.9961 O
0.1904 0.9330 0.7603 O
0.6796 0.4261 0.2392 O
0.9422 0.0639 0.7521 O
0.6911 0.2084 0.8670 O
0.6823 0.9264 0.2394 O
0.3791 0.3766 0.5030 O
0.6365 0.3812 0.0140 O
0.4423 0.5665 0.7517 O
0.1859 0.6985 0.3614 O
0.1287 0.3757 0.5034 O
0.3257 0.7903 0.1361 O
0.9437 0.4125 0.8679 O
0.3745 0.6222 0.4948 O
0.1353 0.8800 0.0121 O
0.8609 0.4089 0.7555 Mn
0.6074 0.5936 0.2447 Mn
0.1065 0.0913 0.2460 Mn
0.8589 0.9005 0.2446 Mn
0.3567 0.4015 0.2446 Mn
0.3652 0.4043 0.7520 Mn
0.3603 0.9044 0.7537 Mn
0.3532 0.9019 0.2463 Mn
0.8577 0.4022 0.2450 Mn
0.6159 0.5965 0.7536 Mn
0.1134 0.0957 0.7534 Mn
0.1076 0.5977 0.2447 Mn
0.1111 0.6030 0.7542 Mn
0.6059 0.0922 0.2450 Mn
0.8656 0.9003 0.7526 Mn
0.6132 0.1015 0.7522 Mn
0.0548 0.2922 0.1060 Ca
0.3045 0.0626 0.1046 Ca
0.2008 0.9387 0.3932 Ca
0.0561 0.7928 0.1062 Ca
0.7036 0.4409 0.8979 Ca
0.5541 0.2919 0.1054 Ca
0.2025 0.9398 0.8981 Ca
0.9537 0.7082 0.8981 Ca
0.5556 0.7921 0.1049 Ca
0.8047 0.5631 0.1049 Ca
0.3036 0.5636 0.1052 Ca
0.8044 0.0628 0.1046 Ca
0.7000 0.9409 0.8931 Sr
0.0588 0.8014 0.6098 Sr
0.9470 0.6985 0.3873 Sr
0.6968 0.9401 0.3877 Sr
0.1990 0.4421 0.8933 Sr
0.5581 0.3015 0.6103 Sr
0.9496 0.2018 0.8932 Sr
0.4465 0.6980 0.3872 Sr
0.4469 0.1981 0.3878 Sr
0.4492 0.7011 0.8930 Sr
0.0591 0.3007 0.6097 Sr
0.3079 0.0581 0.6084 Sr
0.4507 0.2027 0.8937 Sr
0.8077 0.0589 0.6091 Sr
0.3069 0.5585 0.6088 Sr
0.6969 0.4400 0.3878 Sr
0.1962 0.4392 0.3872 Sr
0.5580 0.8010 0.6094 Sr
0.9468 0.1976 0.3875 Sr
0.8092 0.5586 0.6103 Sr
0.2518 0.2480 0.4974 Fe
0.7528 0.2500 0.4994 Fe
0.0076 0.0008 0.0038 Fe
0.5019 0.9993 0.4977 Fe
0.7574 0.7506 0.0025 Fe
0.2516 0.7490 0.4975 Fe
0.7527 0.7490 0.4986 Fe
0.0026 0.9989 0.4973 Fe
0.2560 0.7530 0.0041 Fe
0.0059 0.5023 0.0031 Fe
0.2565 0.2516 0.0042 Fe
0.5029 0.4995 0.4989 Fe
0.0020 0.4997 0.4988 Fe
0.5064 0.0015 0.0042 Fe
0.5075 0.5020 0.0044 Fe
0.7575 0.2536 0.0051 Fe
```

## Properties
The corrected total energy (MP2020 scheme) is -7.545 eV/atom. Its final energy is -242.199 eV/f.u. The value obtained for the energy of formation is -2.436 eV/atom.

An optimized crystal structure of Sr3Ca5Mn3Fe5O20, computed with PBE+U.

Geometry as POSCAR:
```
Sr3Ca5Mn3Fe5O20
1.0
-0.7242 -4.1708 10.1756
-6.5868 -8.2766 -3.8305
16.1874 -2.5043 -5.8604
Sr O Ca Mn Fe
12 80 20 12 20
direct
0.9450 0.1977 0.3854 Sr
0.6950 0.9365 0.3860 Sr
0.8059 0.0586 0.6081 Sr
0.9487 0.2015 0.8922 Sr
0.4491 0.2011 0.8909 Sr
0.3084 0.5606 0.6101 Sr
0.0585 0.8010 0.6102 Sr
0.1956 0.4340 0.3867 Sr
0.8083 0.5605 0.6102 Sr
0.5583 0.2993 0.6105 Sr
0.1994 0.4424 0.8932 Sr
0.0586 0.2983 0.6086 Sr
0.3828 0.8810 0.5096 O
0.3877 0.3869 0.0174 O
0.6798 0.9281 0.7519 O
0.3740 0.1179 0.9922 O
0.4376 0.4072 0.3614 O
0.6264 0.8713 0.5037 O
0.1309 0.3760 0.5047 O
0.8856 0.3860 0.0173 O
0.1268 0.1173 0.4892 O
0.1275 0.1198 0.9925 O
0.4358 0.9055 0.3623 O
0.9441 0.9063 0.8666 O
0.7005 0.7159 0.8675 O
0.1364 0.8811 0.0132 O
0.8881 0.8837 0.0147 O
0.1928 0.9333 0.7601 O
0.6887 0.2097 0.8664 O
0.8742 0.6191 0.9904 O
0.9428 0.4107 0.8683 O
0.4527 0.9094 0.8665 O
0.3766 0.6243 0.4891 O
0.6248 0.6204 0.9885 O
0.9405 0.9098 0.3620 O
0.1727 0.4304 0.2407 O
0.8747 0.1201 0.4932 O
0.8744 0.1177 0.9935 O
0.3797 0.6252 0.9958 O
0.9336 0.0545 0.2397 O
0.8303 0.7860 0.1334 O
0.4463 0.4110 0.8684 O
0.3306 0.7939 0.1374 O
0.9391 0.0572 0.7502 O
0.8202 0.7978 0.6330 O
0.1333 0.8773 0.5026 O
0.3352 0.2898 0.1367 O
0.3827 0.3778 0.5052 O
0.5748 0.5913 0.6351 O
0.5778 0.0848 0.6344 O
0.0831 0.0802 0.6352 O
0.1193 0.6235 0.4867 O
0.6207 0.6188 0.4843 O
0.6354 0.8791 0.0125 O
0.5775 0.0960 0.1356 O
0.1237 0.6266 0.9931 O
0.2000 0.7112 0.8676 O
0.0867 0.6081 0.1410 O
0.3242 0.7965 0.6343 O
0.1745 0.9229 0.2478 O
0.1371 0.3837 0.0181 O
0.8231 0.3066 0.6369 O
0.8696 0.6160 0.4838 O
0.9248 0.5702 0.2485 O
0.8825 0.8756 0.5041 O
0.4280 0.0645 0.7430 O
0.4290 0.0676 0.2496 O
0.6294 0.3774 0.5023 O
0.9399 0.5739 0.7603 O
0.4300 0.5654 0.2488 O
0.6721 0.4268 0.2475 O
0.8376 0.2858 0.1426 O
0.3854 0.8831 0.0120 O
0.5918 0.6077 0.1425 O
0.0702 0.5858 0.6340 O
0.1966 0.2005 0.3571 O
0.3706 0.1150 0.4869 O
0.8772 0.3790 0.5017 O
0.6876 0.2014 0.3620 O
0.9399 0.4025 0.3567 O
0.6386 0.3834 0.0184 O
0.1916 0.2077 0.8676 O
0.6865 0.4393 0.7593 O
0.6285 0.1218 0.9948 O
0.0963 0.1029 0.1410 O
0.6196 0.1224 0.4889 O
0.6974 0.7046 0.3566 O
0.1914 0.4424 0.7512 O
0.6820 0.9334 0.2410 O
0.4408 0.5742 0.7587 O
0.1971 0.7079 0.3568 O
0.3283 0.2945 0.6351 O
0.2009 0.9324 0.3918 Ca
0.5528 0.2895 0.1059 Ca
0.0537 0.2890 0.1075 Ca
0.3024 0.5668 0.1092 Ca
0.9450 0.7092 0.3923 Ca
0.7010 0.4391 0.8964 Ca
0.3040 0.0653 0.1075 Ca
0.0549 0.7909 0.1062 Ca
0.2015 0.9386 0.8972 Ca
0.8044 0.0634 0.1064 Ca
0.7007 0.9375 0.8950 Ca
0.8019 0.5669 0.1068 Ca
0.9504 0.7093 0.8970 Ca
0.5568 0.7955 0.6056 Ca
0.6980 0.4348 0.3932 Ca
0.4469 0.2071 0.3923 Ca
0.4511 0.7084 0.8962 Ca
0.5568 0.7928 0.1063 Ca
0.4437 0.7065 0.3915 Ca
0.3057 0.0607 0.6038 Ca
0.1136 0.6027 0.7530 Mn
0.6082 0.0947 0.7502 Mn
0.8594 0.8951 0.2454 Mn
0.3648 0.9018 0.7513 Mn
0.1163 0.0943 0.7527 Mn
0.8603 0.4097 0.7551 Mn
0.3544 0.9040 0.2491 Mn
0.6137 0.6046 0.7540 Mn
0.3673 0.4044 0.7527 Mn
0.8582 0.8992 0.7511 Mn
0.6043 0.0956 0.2470 Mn
0.3589 0.4014 0.2474 Mn
0.2562 0.2525 0.0033 Fe
0.7516 0.2492 0.4976 Fe
0.0047 0.9990 0.4980 Fe
0.5059 0.0002 0.0017 Fe
0.0058 0.5022 0.0040 Fe
0.7557 0.7507 0.0005 Fe
0.7565 0.2524 0.0042 Fe
0.0014 0.4986 0.4956 Fe
0.8510 0.4117 0.2478 Fe
0.5029 0.5005 0.4974 Fe
0.7513 0.7466 0.4953 Fe
0.0069 0.0006 0.0025 Fe
0.1088 0.0833 0.2465 Fe
0.2540 0.2473 0.4970 Fe
0.5073 0.5022 0.0036 Fe
0.5021 0.9989 0.4982 Fe
0.2540 0.7501 0.4987 Fe
0.1035 0.5900 0.2473 Fe
0.6047 0.5875 0.2480 Fe
0.2567 0.7529 0.0027 Fe
```

## Properties
The corrected total energy (MP2020 scheme) is -7.534 eV/atom. Its final energy is -241.207 eV/f.u. The value obtained for the energy of formation is -2.426 eV/atom.

An optimized crystal structure of CaFeMoO6, computed with PBE+U.

Geometry as POSCAR:
```
CaFeMoO6
1.0
-1.8883 1.1372 5.1572
0.2517 -5.2368 1.2469
7.4712 -4.2867 3.6808
O Fe Ca Mo
12 2 2 2
direct
0.0399 0.3423 0.4550 O
0.2379 0.1764 0.2439 O
0.7318 0.8019 0.2547 O
0.7621 0.1764 0.7439 O
0.0500 0.7478 0.0429 O
0.4741 0.6877 0.5248 O
0.9601 0.3423 0.9550 O
0.5259 0.6877 0.0248 O
0.9500 0.7478 0.5429 O
0.4698 0.2533 0.9734 O
0.5302 0.2533 0.4734 O
0.2682 0.8019 0.7547 O
0.2470 0.9954 0.4998 Fe
0.7530 0.9954 0.9998 Fe
0.6861 0.7372 0.7511 Ca
0.3139 0.7372 0.2511 Ca
0.2203 0.4949 0.0017 Mo
0.7797 0.4949 0.5017 Mo
```

## Properties
The corrected total energy (MP2020 scheme) is -7.700 eV/atom. Its final energy is -59.722 eV/f.u. The value obtained for the energy of formation is -2.033 eV/atom.